No. 1
The following is a r²SCAN calculation of a relaxed structure of YAlNi, from Materials Project.

The value obtained for the calculated volume is 54 Å³/f.u. The total energy is -13.601 eV per atom. Its crystal system is hexagonal. As for the formation energy: -171.4 kJ/mol of formula units.

It has space group P-62m (No. 189), with a = 6.9380 Å, b = 6.9380 Å, c = 3.8879 Å, α = 90.00°, β = 90.00° and γ = 120.00°. The distinct sites, in fractional coordinates, are Y at (0.0000, 0.5830, 0.0000), Al at (0.0000, 0.2325, 0.5000), Ni at (0.0000, 0.0000, 0.0000) and Ni at (0.3333, 0.6667, 0.5000).



No. 2
The following is a r²SCAN calculation of a relaxed structure of YAlNi, from Materials Project.

The value obtained for the calculated volume is 52 Å³/f.u. The total energy is -13.526 eV per atom. Its crystal system is orthorhombic. As for the formation energy: -149.5 kJ/mol of formula units.

It has space group Amm2 (No. 38), with a = 8.4421 Å, b = 5.3748 Å, c = 9.2100 Å, α = 90.00°, β = 90.00° and γ = 90.00°. The distinct sites, in fractional coordinates, are Y at (0.1756, 0.0000, 0.0000), Y at (0.2928, 0.0000, 0.3364), Al at (0.2379, 0.0000, 0.6738), Al at (0.5000, 0.2467, 0.0832), Ni at (0.0000, 0.0000, 0.5064), Ni at (0.0000, 0.2486, 0.2531) and Ni at (0.5000, 0.0000, 0.8361).



What did the second record say?
The following is a r²SCAN calculation of a relaxed structure of YAlNi, from Materials Project.

The value obtained for the calculated volume is 52 Å³/f.u. The total energy is -13.526 eV per atom. Its crystal system is orthorhombic. As for the formation energy: -149.5 kJ/mol of formula units.

It has space group Amm2 (No. 38), with a = 8.4421 Å, b = 5.3748 Å, c = 9.2100 Å, α = 90.00°, β = 90.00° and γ = 90.00°. The distinct sites, in fractional coordinates, are Y at (0.1756, 0.0000, 0.0000), Y at (0.2928, 0.0000, 0.3364), Al at (0.2379, 0.0000, 0.6738), Al at (0.5000, 0.2467, 0.0832), Ni at (0.0000, 0.0000, 0.5064), Ni at (0.0000, 0.2486, 0.2531) and Ni at (0.5000, 0.0000, 0.8361).



> What is the formula in the first record?

YAlNi



> What is the formation energy in the second record?

-149.5 kJ/mol of formula units



> Which of these has the lowest calculated volume?

number 2